No. 1
## Na7La4SiP5O24 (PBE-GGA)

Data for a relaxed structure of Na7La4SiP5O24.

a = 9.6888 Å, b = 9.6795 Å, c = 24.3415 Å
α = 89.69°, β = 90.11°, γ = 120.04°
Atoms (fractional coordinates):
Na  0.6373  0.6416  0.7482
Na  0.3657  0.3640  0.2502
Na  0.3362  0.6758  0.1667
Na  0.6612  0.9685  0.5865
Na  0.6570  0.3266  0.8335
Na  0.3423  0.6811  0.6666
Na  0.0100  0.0033  0.9993
Na  0.0303  0.3402  0.0847
Na  0.2940  0.9608  0.0833
Na  0.9999  0.6326  0.2479
Na  0.9906  0.3579  0.7527
Na  0.3330  0.0338  0.4189
Na  0.0404  0.7070  0.5827
Na  0.9659  0.6669  0.9196
Na  0.9680  0.3025  0.4156
Na  0.6666  0.3333  0.3333
Na  0.6741  0.6977  0.0827
Na  0.7006  0.0348  0.9146
Na  0.2998  0.3236  0.5817
Na  0.3739  0.9996  0.7479
Na  0.9977  0.9906  0.5007
O  0.5477  0.6583  0.8643
O  0.7668  0.7794  0.1930
O  0.4458  0.3075  0.0371
O  0.9915  0.2096  0.3026
O  0.1625  0.4775  0.2531
O  0.9830  0.7805  0.8020
O  0.7773  0.9781  0.6947
O  0.3180  0.8679  0.9690
O  0.1785  0.0064  0.5846
O  0.8046  0.0208  0.8044
O  0.8119  0.8270  0.9152
O  0.3080  0.8441  0.2539
O  0.5202  0.6593  0.2518
O  0.5136  0.8384  0.7530
O  0.1428  0.4834  0.5781
O  0.1490  0.6735  0.7547
O  0.8631  0.5534  0.0287
O  0.8946  0.3569  0.6345
O  0.6719  0.5259  0.9177
O  0.8209  0.0178  0.0863
O  0.3417  0.4574  0.3640
O  0.1074  0.4577  0.8649
O  0.1215  0.6509  0.3645
O  0.1905  0.1850  0.0889
O  0.5583  0.6828  0.9684
O  0.3413  0.8456  0.5800
O  0.1526  0.6576  0.0805
O  0.5331  0.8866  0.3704
O  0.8702  0.5105  0.4184
O  0.4644  0.1086  0.6382
O  0.4718  0.3279  0.4167
O  0.9918  0.8199  0.0863
O  0.4634  0.1560  0.2482
O  0.1771  0.9757  0.9144
O  0.8548  0.3491  0.9184
O  0.8164  0.8089  0.5865
O  0.3508  0.4872  0.0807
O  0.3176  0.4727  0.7533
O  0.5185  0.8567  0.0782
O  0.4774  0.3300  0.7462
O  0.0184  0.2267  0.1985
O  0.3146  0.4395  0.4681
O  0.6524  0.1465  0.4189
O  0.8691  0.3175  0.5311
O  0.6775  0.1625  0.7490
O  0.9856  0.1805  0.5856
O  0.8002  0.7803  0.2960
O  0.0252  0.8224  0.4126
O  0.1707  0.1892  0.4134
O  0.4894  0.1329  0.9189
O  0.8461  0.5272  0.7477
O  0.4597  0.3517  0.1396
O  0.9941  0.1869  0.9160
O  0.8613  0.3386  0.2498
O  0.4480  0.1375  0.5286
O  0.0223  0.7955  0.6985
O  0.3491  0.8837  0.8649
O  0.6816  0.5203  0.2476
O  0.6856  0.1261  0.0273
O  0.2000  0.9823  0.1981
O  0.2119  0.2320  0.6939
O  0.1190  0.4436  0.9692
O  0.8860  0.5289  0.1380
O  0.8132  0.0074  0.4147
O  0.5663  0.8869  0.4733
O  0.2120  0.0156  0.3021
O  0.2192  0.1957  0.7964
O  0.1331  0.6844  0.4685
O  0.6885  0.5506  0.5371
O  0.6486  0.5447  0.6398
O  0.5129  0.6509  0.5803
O  0.6407  0.1122  0.1298
La  0.6608  0.3380  0.9855
La  0.9855  0.9897  0.3482
La  0.0059  0.0097  0.8483
La  0.6717  0.3261  0.1817
La  0.9995  0.0002  0.6537
La  0.3480  0.6769  0.3185
La  0.9936  0.9960  0.1538
La  0.3298  0.6606  0.0133
La  0.6616  0.3399  0.4847
La  0.3367  0.6652  0.8203
La  0.3397  0.6703  0.5126
La  0.6643  0.3255  0.6795
P  0.6923  0.6867  0.2472
P  0.3626  0.3325  0.0868
P  0.9721  0.3344  0.5820
P  0.2992  0.0004  0.2510
P  0.3065  0.3070  0.7476
P  0.0059  0.3104  0.2512
P  0.3337  0.9690  0.9167
P  0.6452  0.6711  0.9164
P  0.9994  0.6944  0.7511
P  0.3272  0.3560  0.4155
P  0.6670  0.6385  0.5859
P  0.0207  0.3589  0.9170
P  0.6663  0.0290  0.0801
P  0.0342  0.6663  0.4157
P  0.6412  0.9798  0.4194
Si  0.9727  0.6396  0.0834
Si  0.6935  0.9997  0.7504
Si  0.3580  0.0248  0.5825

Values from the calculation:
Corrected total energy (MP2020 scheme): -913.65 eV per cell

---

No. 2
## Na7La2Ta2Si5PO24 (PBE-GGA)

Data for a relaxed structure of Na7La2Ta2Si5PO24.

a = 9.4773 Å, b = 9.4915 Å, c = 22.4992 Å
α = 90.23°, β = 89.80°, γ = 119.92°
Atoms (fractional coordinates):
Ta  0.9987  0.9986  0.6479
Ta  0.0028  0.9960  0.1490
Ta  0.3288  0.6705  0.8134
Ta  0.3282  0.6694  0.3144
Ta  0.6654  0.3333  0.9820
Ta  0.6753  0.3326  0.4829
O  0.4844  0.1250  0.2419
O  0.6681  0.1073  0.1445
O  0.1596  0.1925  0.6949
O  0.8472  0.3778  0.9221
O  0.4730  0.1714  0.5285
O  0.9849  0.7719  0.8126
O  0.2852  0.8023  0.2566
O  0.1399  0.6365  0.3628
O  0.3630  0.4945  0.3648
O  0.4887  0.8553  0.3643
O  0.3081  0.4592  0.0810
O  0.8071  0.0368  0.8035
O  0.6216  0.1523  0.4213
O  0.1763  0.1331  0.0860
O  0.5106  0.6294  0.8600
O  0.5187  0.8039  0.7564
O  0.1965  0.7131  0.7556
O  0.8113  0.8448  0.1977
O  0.0306  0.8372  0.6955
O  0.2234  0.1989  0.4098
O  0.7003  0.1769  0.0341
O  0.8697  0.3552  0.2416
O  0.0090  0.2004  0.9144
O  0.1119  0.6806  0.4805
O  0.8553  0.0505  0.0827
O  0.0338  0.2001  0.1895
O  0.8699  0.5195  0.7449
O  0.8291  0.5255  0.0286
O  0.8626  0.8153  0.5874
O  0.5588  0.6681  0.9715
O  0.1481  0.6868  0.0765
O  0.4311  0.3292  0.1494
O  0.4786  0.3476  0.7438
O  0.1433  0.5105  0.8631
O  0.8272  0.3034  0.5316
O  0.7987  0.9650  0.6903
O  0.2285  0.2050  0.8110
O  0.8030  0.7710  0.9090
O  0.3154  0.8507  0.5770
O  0.3362  0.4346  0.4768
O  0.4742  0.3049  0.0309
O  0.5244  0.1556  0.9253
O  0.3183  0.8772  0.9790
O  0.5337  0.6810  0.5760
O  0.9914  0.8025  0.4109
O  0.6423  0.1276  0.7428
O  0.2001  0.0077  0.9115
O  0.1821  0.0448  0.5880
O  0.3654  0.8588  0.8621
O  0.1509  0.4595  0.5763
O  0.7925  0.7684  0.3124
O  0.6462  0.5506  0.6463
O  0.1620  0.9684  0.1961
O  0.9528  0.1354  0.5874
O  0.6513  0.5222  0.2437
O  0.9070  0.3557  0.6470
O  0.5169  0.7129  0.2572
O  0.4513  0.0985  0.6449
O  0.6137  0.4676  0.9189
O  0.5562  0.8908  0.4818
O  0.1150  0.4514  0.9806
O  0.1947  0.4803  0.2568
O  0.5298  0.3854  0.4162
O  0.2865  0.4821  0.7564
O  0.2357  0.0230  0.3123
O  0.8420  0.4758  0.4229
O  0.9614  0.1929  0.3029
O  0.9052  0.5487  0.1452
O  0.5415  0.8815  0.0744
O  0.8019  0.9929  0.4132
O  0.6956  0.5233  0.5294
O  0.9598  0.8214  0.0901
Si  0.6925  0.7079  0.2519
Si  0.9616  0.6454  0.0836
Si  0.2975  0.9870  0.2514
Si  0.6805  0.6432  0.5840
Si  0.6892  0.9864  0.7478
Si  0.0204  0.6500  0.4184
Si  0.0128  0.7058  0.7514
Si  0.0118  0.3092  0.2466
Si  0.3504  0.3153  0.0858
Si  0.3557  0.0365  0.5833
Si  0.2927  0.3075  0.7512
Si  0.6260  0.9770  0.4193
Si  0.0245  0.3763  0.9194
Si  0.3513  0.9757  0.9188
Si  0.9654  0.3173  0.5853
Na  0.3651  0.0170  0.7460
Na  0.6789  0.3332  0.3320
Na  0.3681  0.3581  0.2466
Na  0.3361  0.6662  0.6622
Na  0.3221  0.0190  0.4122
Na  0.0320  0.3463  0.0795
Na  0.9840  0.3487  0.7467
Na  0.7078  0.6810  0.4113
Na  0.9847  0.6322  0.2460
Na  0.6532  0.9621  0.5793
Na  0.3013  0.9645  0.0744
Na  0.9888  0.0023  0.4974
Na  0.9886  0.6804  0.9127
Na  0.3154  0.2906  0.9117
Na  0.0348  0.6937  0.5785
Na  0.6569  0.0190  0.2489
Na  0.6395  0.6288  0.7476
Na  0.6676  0.3198  0.8312
Na  0.3379  0.6524  0.1631
Na  0.3147  0.3438  0.5810
Na  0.9834  0.0008  0.9991
La  0.3290  0.6633  0.5087
La  0.9917  0.0009  0.8491
La  0.6655  0.3414  0.1752
La  0.3419  0.6673  0.0144
La  0.6668  0.3341  0.6763
La  0.9998  0.0088  0.3472
P  0.6225  0.6406  0.9147
P  0.6883  0.0479  0.0841
P  0.3586  0.3759  0.4166

Values from the calculation:
Corrected total energy (MP2020 scheme): -949.82 eV per cell

---

No. 3
## Na5LaTa3Si5PO24 (PBE-GGA)

Data for a relaxed structure of Na5LaTa3Si5PO24.

a = 9.1239 Å, b = 9.1617 Å, c = 22.7426 Å
α = 90.12°, β = 89.85°, γ = 119.86°
Atoms (fractional coordinates):
Na  0.3224  0.0315  0.4151
Na  0.9684  0.2924  0.4172
Na  0.3773  0.0096  0.7510
Na  0.3206  0.9744  0.0813
Na  0.6661  0.3342  0.8351
Na  0.3321  0.6531  0.1645
Na  0.6453  0.3142  0.3238
Na  0.9926  0.6380  0.2415
Na  0.6584  0.6819  0.0825
Na  0.9906  0.3693  0.7483
Na  0.6290  0.6202  0.7488
Na  0.9998  0.9997  0.5040
Na  0.9989  0.0107  0.9962
Na  0.3312  0.6584  0.6643
Na  0.7067  0.6773  0.4175
O  0.6247  0.5472  0.6468
O  0.6823  0.5345  0.2435
O  0.1860  0.1598  0.0932
O  0.4619  0.3065  0.7528
O  0.9246  0.5483  0.1460
O  0.3673  0.5045  0.3592
O  0.8287  0.0060  0.8093
O  0.7812  0.7735  0.3089
O  0.8341  0.3076  0.5308
O  0.1839  0.2044  0.4209
O  0.4667  0.2934  0.0285
O  0.1587  0.4934  0.5707
O  0.2932  0.4768  0.7561
O  0.4810  0.4075  0.1372
O  0.6220  0.1458  0.4247
O  0.2286  0.0016  0.3154
O  0.1641  0.6778  0.0679
O  0.1756  0.1711  0.8094
O  0.3322  0.8521  0.5688
O  0.0164  0.1876  0.9103
O  0.5060  0.8404  0.4726
O  0.5207  0.6988  0.2514
O  0.4877  0.1486  0.2473
O  0.1620  0.1906  0.6937
O  0.3612  0.8648  0.8573
O  0.1622  0.6686  0.4714
O  0.1860  0.7085  0.7560
O  0.1881  0.4772  0.2509
O  0.8121  0.8291  0.9101
O  0.3173  0.8447  0.9716
O  0.8012  0.8270  0.1972
O  0.8079  0.9706  0.6938
O  0.6961  0.1668  0.0269
O  0.8538  0.4766  0.4257
O  0.1615  0.4800  0.9680
O  0.3292  0.4913  0.0645
O  0.4514  0.0809  0.6407
O  0.5215  0.3744  0.4250
O  0.2922  0.8040  0.2523
O  0.5133  0.6746  0.5705
O  0.1311  0.4935  0.8557
O  0.9801  0.1563  0.5880
O  0.4959  0.8614  0.3587
O  0.8712  0.3467  0.2436
O  0.3365  0.4950  0.4730
O  0.8467  0.5384  0.7527
O  0.0319  0.8399  0.6937
O  0.1714  0.9840  0.9102
O  0.6421  0.4938  0.9257
O  0.8235  0.5239  0.0328
O  0.9193  0.3713  0.6470
O  0.0092  0.8095  0.4192
O  0.5130  0.8339  0.0648
O  0.7978  0.9852  0.4199
O  0.5867  0.0682  0.1355
O  0.6866  0.1510  0.7522
O  0.5248  0.6840  0.9705
O  0.9778  0.8218  0.0914
O  0.1896  0.0266  0.5851
O  0.8370  0.0167  0.0926
O  0.9899  0.2269  0.3109
O  0.1669  0.9776  0.1975
O  0.1322  0.6298  0.3569
O  0.5036  0.6371  0.8571
O  0.4683  0.1569  0.5315
O  0.8526  0.3612  0.9248
O  0.6882  0.5222  0.5311
O  0.5223  0.8137  0.7561
O  0.9960  0.8250  0.8090
O  0.0186  0.1922  0.1999
O  0.8488  0.8199  0.5881
O  0.5077  0.1488  0.9237
Ta  0.0002  0.9995  0.8587
Ta  0.3342  0.6650  0.5211
Ta  0.3327  0.6658  0.8148
Ta  0.6666  0.3314  0.9781
Ta  0.0043  0.0042  0.1466
Ta  0.3288  0.6632  0.0129
Ta  0.9961  0.9994  0.6460
Ta  0.6715  0.3362  0.4844
Ta  0.3368  0.6699  0.3122
Si  0.3387  0.9631  0.9155
Si  0.9702  0.6331  0.0828
Si  0.2762  0.2871  0.7528
Si  0.6247  0.6619  0.9154
Si  0.6696  0.6422  0.5849
Si  0.6635  0.0275  0.0788
Si  0.3663  0.3391  0.0799
Si  0.3024  0.9923  0.2520
Si  0.6108  0.9602  0.4190
Si  0.3487  0.3890  0.4184
Si  0.0365  0.3745  0.9144
Si  0.9740  0.3316  0.5849
Si  0.0404  0.6517  0.4180
Si  0.0118  0.7239  0.7525
Si  0.7102  0.9881  0.7534
La  0.6685  0.3373  0.6782
La  0.0048  0.0053  0.3483
La  0.6593  0.3216  0.1732
P  0.0141  0.3089  0.2506
P  0.6948  0.7050  0.2495
P  0.3595  0.0289  0.5820

Values from the calculation:
Corrected total energy (MP2020 scheme): -955.56 eV per cell

---

no.,DFT formation energy (eV per atom)
1,-3.032
2,-2.987
3,-3.080